# 1
64
Lattice="3.622 6.440 0.000 -3.622 6.440 0.000 0.000 0.163 17.688" Properties=species:S:1:pos:R:3 comment="Er2TiO5 (PBE, optimized geometry)" formation_energy_ev_per_atom=-3.784 crystal_system=monoclinic polymorph_energy_mev_per_atom=117.0 m_tot_mub_per_cell=0.0 pbc="T T T"
Er 1.769 7.531 2.946
Er 0.000 2.360 14.950
Er 0.000 4.433 3.155
O 1.671 9.619 11.553
O 0.000 6.822 15.259
O 0.000 0.182 15.417
O 0.000 10.435 0.426
O 1.554 3.447 1.837
Er 0.000 4.603 11.894
O 0.000 1.179 11.268
Er 1.742 3.436 8.940
O 0.000 6.379 2.157
Er 0.000 6.802 17.649
O 1.821 7.942 13.666
Er -1.782 5.755 14.539
O -1.821 7.942 13.666
Ti -1.832 5.462 5.905
O 0.000 2.980 17.084
O 2.039 5.408 3.707
O 2.011 7.378 0.752
O 0.000 2.232 8.218
O 0.000 4.507 9.733
O 0.000 8.776 3.629
Er 0.000 8.887 5.774
O -1.671 9.619 11.553
O 0.000 4.715 5.478
Er 0.000 2.397 6.031
Er 0.000 6.480 8.951
Er 0.000 10.671 2.681
O 0.000 2.109 3.814
O 1.542 5.242 16.915
Ti -1.723 3.542 17.680
Er -1.769 7.531 2.946
O 2.150 5.631 12.271
O -1.326 9.059 16.044
O 0.000 10.958 9.890
Ti 0.000 10.895 11.898
O 1.640 7.277 5.614
O 0.000 6.885 11.633
O 1.571 7.765 9.674
O -1.542 5.242 16.915
O -1.571 7.765 9.674
Ti 1.832 5.462 5.905
O 1.697 9.746 6.749
Ti 0.000 8.717 14.806
O 0.000 10.423 13.843
O -2.150 5.631 12.271
O 1.825 5.724 7.837
Er 0.000 0.291 9.099
Ti 1.723 3.542 17.680
O 0.000 4.358 14.053
Er 0.000 12.816 17.529
Er 1.782 5.755 14.539
O -2.011 7.378 0.752
Ti 1.783 7.761 11.730
Er -1.742 3.436 8.940
O 1.326 9.059 16.044
O -1.825 5.724 7.837
O -2.039 5.408 3.707
O -1.554 3.447 1.837
O -1.697 9.746 6.749
O -1.640 7.277 5.614
O 0.000 11.406 5.728
Ti -1.783 7.761 11.730

=====

# 2
12
Lattice="-0.466 1.119 -3.281 -0.608 -3.348 0.809 -37.745 8.884 8.392" Properties=species:S:1:pos:R:3 comment="Te3W2Se (PBE, optimized geometry)" formation_energy_ev_per_atom=-0.256 crystal_system=trigonal m_tot_mub_per_cell=0.0 pbc="T T T"
Te -5.811 0.877 -0.740
Te -19.993 4.215 2.414
W -18.287 2.314 3.387
W -25.333 5.472 3.601
Te -16.489 3.390 1.635
Se -12.742 1.008 2.154
Te -27.132 4.395 5.354
Te -2.306 0.052 -1.519
Te -23.627 3.570 4.574
W -4.106 -1.024 0.234
W -11.150 2.134 0.448
Se -9.653 0.281 1.467

=====

# 3
5
Lattice="0.633 -3.925 5.858 -4.989 -2.630 4.279 2.070 0.790 -6.724" Properties=species:S:1:pos:R:3 comment="BaAl2Si2 (PBE, optimized geometry)" formation_energy_ev_per_atom=-0.261 crystal_system=tetragonal pbc="T T T"
Si -1.578 -2.374 3.671
Al -2.549 -2.559 1.312
Al 0.262 -3.207 2.101
Si -2.779 -4.181 6.466
Ba 0.000 0.000 0.000